(1)
DFT (GGA-PBE) results for a relaxed structure of Si3PH27C9N2Cl2.

## Properties
- Magnetization: 0.0 Bohr magnetons per cell
- Space-group type: P2_1/c, No. 14
- MP2020-corrected energy: -5.20 eV/atom
- E_tot: -909.838 eV per cell
- ΔH_f (0 K): -0.272 eV per atom

Cell: 9.887 14.535 15.802 Å, 90.00 93.17 90.00°
Fractional coordinates of all 176 atoms:
Si1 0.110 0.346 0.312
Si2 0.390 0.846 0.188
Si3 0.890 0.654 0.688
Si4 0.610 0.154 0.812
Si5 0.896 0.110 0.288
Si6 0.604 0.610 0.212
Si7 0.104 0.890 0.712
Si8 0.396 0.390 0.788
Si9 0.832 0.236 0.447
Si10 0.668 0.736 0.053
Si11 0.168 0.764 0.553
Si12 0.332 0.264 0.947
P1 0.173 0.171 0.430
P2 0.327 0.671 0.070
P3 0.827 0.829 0.570
P4 0.673 0.329 0.930
H1 0.363 0.339 0.313
H2 0.137 0.839 0.187
H3 0.637 0.661 0.687
H4 0.863 0.161 0.813
H5 0.288 0.277 0.225
H6 0.212 0.777 0.275
H7 0.712 0.723 0.775
H8 0.788 0.223 0.725
H9 0.290 0.400 0.225
H10 0.210 0.900 0.275
H11 0.710 0.600 0.775
H12 0.790 0.100 0.725
H13 0.013 0.454 0.416
H14 0.487 0.954 0.084
H15 0.987 0.546 0.584
H16 0.513 0.046 0.916
H17 0.191 0.440 0.437
H18 0.309 0.940 0.063
H19 0.809 0.560 0.563
H20 0.691 0.060 0.937
H21 0.129 0.509 0.350
H22 0.371 0.009 0.150
H23 0.871 0.491 0.650
H24 0.629 0.991 0.850
H25 0.973 0.311 0.178
H26 0.527 0.811 0.322
H27 0.027 0.689 0.822
H28 0.473 0.189 0.678
H29 0.873 0.366 0.252
H30 0.627 0.866 0.248
H31 0.127 0.634 0.748
H32 0.373 0.134 0.752
H33 0.991 0.430 0.196
H34 0.509 0.930 0.304
H35 0.009 0.570 0.804
H36 0.491 0.070 0.696
H37 0.778 0.397 0.397
H38 0.722 0.897 0.103
H39 0.222 0.603 0.603
H40 0.278 0.103 0.897
H41 0.658 0.316 0.352
H42 0.842 0.816 0.148
H43 0.342 0.684 0.648
H44 0.158 0.184 0.852
H45 0.651 0.351 0.459
H46 0.849 0.851 0.041
H47 0.349 0.649 0.541
H48 0.151 0.149 0.959
H49 0.994 0.218 0.574
H50 0.506 0.718 0.926
H51 0.006 0.782 0.426
H52 0.494 0.282 0.074
H53 0.010 0.329 0.529
H54 0.490 0.829 0.971
H55 0.990 0.671 0.471
H56 0.510 0.171 0.029
H57 0.869 0.302 0.589
H58 0.631 0.802 0.911
H59 0.131 0.698 0.411
H60 0.369 0.198 0.089
H61 0.657 0.110 0.427
H62 0.843 0.610 0.073
H63 0.343 0.890 0.573
H64 0.157 0.390 0.927
H65 0.779 0.084 0.511
H66 0.721 0.584 0.989
H67 0.221 0.916 0.489
H68 0.279 0.416 0.011
H69 0.650 0.168 0.525
H70 0.850 0.668 0.975
H71 0.350 0.832 0.475
H72 0.150 0.332 0.025
H73 0.011 0.175 0.164
H74 0.489 0.675 0.336
H75 0.989 0.825 0.836
H76 0.511 0.325 0.664
H77 0.121 0.098 0.222
H78 0.379 0.598 0.278
H79 0.879 0.902 0.778
H80 0.621 0.402 0.722
H81 0.984 0.055 0.156
H82 0.516 0.555 0.344
H83 0.016 0.945 0.844
H84 0.484 0.445 0.656
H85 0.642 0.128 0.287
H86 0.858 0.628 0.213
H87 0.358 0.872 0.713
H88 0.142 0.372 0.787
H89 0.714 0.198 0.208
H90 0.786 0.698 0.292
H91 0.286 0.802 0.792
H92 0.214 0.302 0.708
H93 0.696 0.077 0.192
H94 0.804 0.577 0.308
H95 0.304 0.923 0.808
H96 0.196 0.423 0.692
H97 0.004 0.979 0.370
H98 0.496 0.479 0.130
H99 0.996 0.021 0.630
H100 0.504 0.521 0.870
H101 0.826 0.981 0.382
H102 0.674 0.481 0.118
H103 0.174 0.019 0.618
H104 0.326 0.519 0.882
H105 0.891 0.940 0.286
H106 0.609 0.440 0.214
H107 0.109 0.060 0.714
H108 0.391 0.560 0.786
C1 0.279 0.338 0.265
C2 0.221 0.838 0.235
C3 0.721 0.662 0.735
C4 0.779 0.162 0.765
C5 0.110 0.446 0.386
C6 0.390 0.946 0.114
C7 0.890 0.554 0.614
C8 0.610 0.054 0.886
C9 0.973 0.364 0.227
C10 0.527 0.864 0.273
C11 0.027 0.636 0.773
C12 0.473 0.136 0.727
C13 0.720 0.334 0.409
C14 0.780 0.834 0.091
C15 0.280 0.666 0.591
C16 0.220 0.166 0.909
C17 0.938 0.275 0.543
C18 0.562 0.775 0.957
C19 0.062 0.725 0.457
C20 0.438 0.225 0.043
C21 0.720 0.140 0.479
C22 0.780 0.640 0.021
C23 0.280 0.860 0.521
C24 0.220 0.360 0.979
C25 0.016 0.111 0.200
C26 0.484 0.611 0.300
C27 0.984 0.889 0.800
C28 0.516 0.389 0.700
C29 0.720 0.131 0.240
C30 0.780 0.631 0.260
C31 0.280 0.869 0.760
C32 0.220 0.369 0.740
C33 0.905 0.992 0.337
C34 0.595 0.492 0.163
C35 0.095 0.008 0.663
C36 0.405 0.508 0.837
N1 0.075 0.239 0.366
N2 0.425 0.739 0.134
N3 0.925 0.761 0.634
N4 0.575 0.261 0.866
N5 0.938 0.198 0.365
N6 0.562 0.698 0.135
N7 0.062 0.802 0.635
N8 0.438 0.302 0.865
Cl1 0.315 0.264 0.487
Cl2 0.185 0.764 0.013
Cl3 0.685 0.736 0.513
Cl4 0.815 0.236 0.987
Cl5 0.318 0.106 0.351
Cl6 0.182 0.606 0.149
Cl7 0.682 0.894 0.649
Cl8 0.818 0.394 0.851


(2)
DFT (GGA-PBE) results for a relaxed structure of TaSi2PH18C6N2Cl6.

## Properties
- Magnetization: 0.0 Bohr magnetons per cell
- Space-group type: P2_1/c, No. 14
- MP2020-corrected energy: -5.35 eV/atom
- E_tot: -755.574 eV per cell
- ΔH_f (0 K): -0.563 eV per atom

Cell: 12.879 9.581 17.935 Å, 77.19 90.00 90.00°
Fractional coordinates of all 144 atoms:
Ta1 0.427 0.492 0.897
Ta2 0.573 0.508 0.103
Ta3 0.927 0.508 0.603
Ta4 0.073 0.492 0.397
Si1 0.089 0.715 0.132
Si2 0.411 0.715 0.632
Si3 0.244 0.979 0.129
Si4 0.756 0.021 0.871
Si5 0.744 0.021 0.371
Si6 0.256 0.979 0.629
Si7 0.911 0.285 0.868
Si8 0.589 0.285 0.368
P1 0.807 0.241 0.726
P2 0.693 0.241 0.226
P3 0.193 0.759 0.274
P4 0.307 0.759 0.774
H1 0.832 0.791 0.934
H2 0.604 0.002 0.785
H3 0.810 0.272 0.988
H4 0.434 0.466 0.713
H5 0.890 0.116 0.999
H6 0.397 0.281 0.378
H7 0.361 0.160 0.151
H8 0.914 0.878 0.858
H9 0.287 0.937 0.998
H10 0.668 0.791 0.434
H11 0.110 0.884 0.001
H12 0.414 0.122 0.642
H13 0.086 0.122 0.142
H14 0.916 0.930 0.948
H15 0.586 0.878 0.358
H16 0.313 0.483 0.664
H17 0.054 0.716 0.000
H18 0.946 0.284 0.000
H19 0.436 0.269 0.285
H20 0.390 0.884 0.501
H21 0.066 0.466 0.213
H22 0.057 0.115 0.861
H23 0.210 0.102 0.737
H24 0.396 0.998 0.215
H25 0.128 0.840 0.570
H26 0.872 0.160 0.430
H27 0.687 0.517 0.336
H28 0.943 0.885 0.139
H29 0.071 0.472 0.113
H30 0.690 0.272 0.488
H31 0.372 0.840 0.070
H32 0.064 0.269 0.785
H33 0.934 0.534 0.787
H34 0.554 0.284 0.500
H35 0.416 0.070 0.552
H36 0.929 0.528 0.887
H37 0.787 0.063 0.502
H38 0.566 0.534 0.287
H39 0.897 0.719 0.122
H40 0.610 0.116 0.499
H41 0.861 0.840 0.349
H42 0.710 0.898 0.763
H43 0.603 0.719 0.622
H44 0.584 0.930 0.448
H45 0.813 0.517 0.836
H46 0.190 0.728 0.012
H47 0.713 0.063 0.002
H48 0.386 0.028 0.037
H49 0.564 0.731 0.715
H50 0.571 0.528 0.387
H51 0.084 0.070 0.052
H52 0.139 0.160 0.651
H53 0.614 0.972 0.963
H54 0.187 0.483 0.164
H55 0.446 0.716 0.500
H56 0.628 0.160 0.930
H57 0.443 0.115 0.361
H58 0.557 0.885 0.639
H59 0.290 0.102 0.237
H60 0.790 0.898 0.263
H61 0.213 0.937 0.498
H62 0.168 0.209 0.066
H63 0.104 0.998 0.715
H64 0.886 0.972 0.463
H65 0.936 0.731 0.215
H66 0.429 0.472 0.613
H67 0.639 0.840 0.849
H68 0.310 0.728 0.512
H69 0.103 0.281 0.878
H70 0.114 0.028 0.537
H71 0.896 0.002 0.285
H72 0.332 0.209 0.566
C1 0.105 0.516 0.159
C2 0.046 0.231 0.846
C3 0.329 0.941 0.051
C4 0.830 0.935 0.309
C5 0.395 0.516 0.659
C6 0.170 0.065 0.691
C7 0.670 0.935 0.809
C8 0.385 0.769 0.527
C9 0.866 0.895 0.906
C10 0.605 0.484 0.341
C11 0.634 0.895 0.406
C12 0.615 0.231 0.473
C13 0.885 0.231 0.973
C14 0.171 0.941 0.551
C15 0.895 0.484 0.841
C16 0.330 0.065 0.191
C17 0.366 0.105 0.594
C18 0.954 0.769 0.154
C19 0.546 0.769 0.654
C20 0.671 0.059 0.949
C21 0.454 0.231 0.346
C22 0.829 0.059 0.449
C23 0.134 0.105 0.094
C24 0.115 0.769 0.027
N1 0.682 0.190 0.318
N2 0.627 0.375 0.185
N3 0.373 0.625 0.815
N4 0.182 0.810 0.182
N5 0.873 0.375 0.685
N6 0.318 0.810 0.682
N7 0.127 0.625 0.315
N8 0.818 0.190 0.818
Cl1 0.894 0.727 0.636
Cl2 0.515 0.329 0.031
Cl3 0.015 0.671 0.469
Cl4 0.154 0.923 0.324
Cl5 0.985 0.329 0.531
Cl6 0.775 0.538 0.528
Cl7 0.846 0.077 0.676
Cl8 0.098 0.511 0.649
Cl9 0.725 0.538 0.028
Cl10 0.344 0.724 0.303
Cl11 0.156 0.724 0.803
Cl12 0.394 0.273 0.864
Cl13 0.654 0.077 0.176
Cl14 0.225 0.462 0.472
Cl15 0.844 0.276 0.197
Cl16 0.485 0.671 0.969
Cl17 0.275 0.462 0.972
Cl18 0.598 0.489 0.851
Cl19 0.346 0.923 0.824
Cl20 0.402 0.511 0.149
Cl21 0.656 0.276 0.697
Cl22 0.106 0.273 0.364
Cl23 0.606 0.727 0.136
Cl24 0.902 0.489 0.351


(3)
DFT (GGA-PBE) results for a relaxed structure of H5PbCN2Cl3.

## Properties
- Magnetization: 0.0 Bohr magnetons per cell
- Space-group type: Pmm2, No. 25
- MP2020-corrected energy: -5.06 eV/atom
- E_tot: -58.907 eV per cell
- ΔH_f (0 K): -0.719 eV per atom

Cell: 5.696 5.981 5.936 Å, 90.00 90.00 90.00°
Fractional coordinates of all 12 atoms:
H1 0.752 0.281 0.500
H2 0.752 0.719 0.500
H3 0.280 0.500 0.500
H4 0.467 0.831 0.500
H5 0.467 0.169 0.500
Pb1 0.045 0.000 0.000
C1 0.471 0.500 0.500
N1 0.575 0.695 0.500
N2 0.575 0.305 0.500
Cl1 0.030 0.500 0.000
Cl2 0.540 0.000 0.000
Cl3 0.078 0.000 0.500


(4)
DFT (GGA-PBE) results for a relaxed structure of H5PbC2SN6Cl.

## Properties
- Magnetization: 0.0 Bohr magnetons per cell
- Space-group type: P2_1/c, No. 14
- MP2020-corrected energy: -6.09 eV/atom
- E_tot: -384.986 eV per cell
- ΔH_f (0 K): -0.139 eV per atom

Cell: 11.933 7.597 9.674 Å, 75.01 90.00 90.00°
Fractional coordinates of all 64 atoms:
H1 0.578 0.849 0.849
H2 0.422 0.151 0.151
H3 0.078 0.651 0.151
H4 0.922 0.349 0.849
H5 0.695 0.922 0.075
H6 0.305 0.078 0.925
H7 0.195 0.578 0.925
H8 0.805 0.422 0.075
H9 0.398 0.356 0.040
H10 0.602 0.644 0.960
H11 0.898 0.144 0.960
H12 0.102 0.856 0.040
H13 0.901 0.756 0.055
H14 0.099 0.244 0.945
H15 0.401 0.744 0.945
H16 0.599 0.256 0.055
H17 0.627 0.806 0.221
H18 0.373 0.194 0.779
H19 0.127 0.694 0.779
H20 0.873 0.306 0.221
Pb1 0.655 0.563 0.659
Pb2 0.345 0.437 0.341
Pb3 0.155 0.937 0.341
Pb4 0.845 0.063 0.659
C1 0.896 0.858 0.234
C2 0.104 0.142 0.766
C3 0.396 0.642 0.766
C4 0.604 0.358 0.234
C5 0.767 0.903 0.384
C6 0.233 0.097 0.616
C7 0.267 0.597 0.616
C8 0.733 0.403 0.384
S1 0.638 0.913 0.461
S2 0.362 0.087 0.539
S3 0.138 0.587 0.539
S4 0.862 0.413 0.461
N1 0.702 0.813 0.166
N2 0.298 0.187 0.834
N3 0.202 0.687 0.834
N4 0.798 0.313 0.166
N5 0.948 0.906 0.341
N6 0.052 0.094 0.659
N7 0.448 0.594 0.659
N8 0.552 0.406 0.341
N9 0.783 0.858 0.255
N10 0.217 0.142 0.745
N11 0.283 0.642 0.745
N12 0.717 0.358 0.255
N13 0.946 0.824 0.117
N14 0.054 0.176 0.883
N15 0.446 0.676 0.883
N16 0.554 0.324 0.117
N17 0.438 0.288 0.132
N18 0.562 0.712 0.868
N19 0.938 0.212 0.868
N20 0.062 0.788 0.132
N21 0.866 0.932 0.436
N22 0.134 0.068 0.564
N23 0.366 0.568 0.564
N24 0.634 0.432 0.436
Cl1 0.354 0.843 0.139
Cl2 0.646 0.157 0.861
Cl3 0.854 0.657 0.861
Cl4 0.146 0.343 0.139


(5)
DFT (GGA-PBE) results for a relaxed structure of H8PdC2NCl3.

## Properties
- Space-group type: C2/c, No. 15
- MP2020-corrected energy: -4.80 eV/atom
- E_tot: -140.303 eV per cell
- ΔH_f (0 K): -0.489 eV per atom

Cell: 7.764 7.764 7.234 Å, 89.80 89.80 118.42°
Fractional coordinates of all 30 atoms:
H1 0.561 0.089 0.833
H2 0.500 0.223 0.000
H3 0.717 0.249 0.538
H4 0.751 0.283 0.962
H5 0.491 0.330 0.690
H6 0.911 0.439 0.667
H7 0.330 0.491 0.190
H8 0.223 0.500 0.500
H9 0.777 0.500 0.500
H10 0.670 0.509 0.810
H11 0.089 0.561 0.333
H12 0.509 0.670 0.310
H13 0.249 0.717 0.038
H14 0.283 0.751 0.462
H15 0.500 0.777 0.000
H16 0.439 0.911 0.167
Pd1 0.000 0.000 0.500
Pd2 0.000 0.000 0.000
C1 0.608 0.231 0.897
C2 0.769 0.392 0.603
C3 0.231 0.608 0.397
C4 0.392 0.769 0.103
N1 0.626 0.374 0.750
N2 0.374 0.626 0.250
Cl1 0.890 0.110 0.250
Cl2 0.323 0.179 0.395
Cl3 0.179 0.323 0.895
Cl4 0.821 0.677 0.105
Cl5 0.677 0.821 0.605
Cl6 0.110 0.890 0.750


- Number 1 is which compound?
  Si3PH27C9N2Cl2


- What is the formula in the first record?
  Si3PH27C9N2Cl2


- Among the records above, which one has the highest MP2020-corrected energy?
  H8PdC2NCl3


- E_tot of number 2 (TaSi2PH18C6N2Cl6)?
  -755.574 eV per cell